A geometry-optimized Li2AlFeO4 structure, computed with PBE+U.

```
Li2AlFeO4
1.0
5.038 0.000 0.000
0.000 5.471 0.000
-5.033 0.000 6.430
Li Al Fe O
4 2 2 8
Cartesian
0.000 0.908 0.000
-2.517 4.563 3.215
2.516 1.800 1.589
0.000 3.671 4.804
0.035 0.925 3.202
-2.482 4.546 6.417
-2.496 1.812 4.827
0.021 3.659 1.612
-0.497 1.828 1.749
-3.014 3.643 4.964
-3.002 0.779 6.353
-0.486 4.692 3.138
-0.587 1.728 4.674
1.929 3.742 1.459
1.821 0.989 3.271
4.338 4.482 0.056
```

Results
- DFT formation energy: -20.0 eV/f.u.
- Space group: Pc (7)
- DFT total energy: -6.349 eV/atom
- Offset from the most stable computed form: 0 meV/atom